Entry 1:
{
  "formula": "NiH5CNCl2O2",
  "functional": "PBE with a Hubbard U",
  "state": "optimized geometry",
  "lattice": [[3.145, 3.947, 4.740], [0.191, -6.664, 1.873], [10.086, -0.368, -9.033]],
  "species": ["Ni", "Ni", "Ni", "Ni", "H", "H", "H", "H", "H", "H", "H", "H", "H", "H", "H", "H", "H", "H", "H", "H", "H", "H", "H", "H", "C", "C", "C", "C", "N", "N", "N", "N", "Cl", "Cl", "Cl", "Cl", "Cl", "Cl", "Cl", "Cl", "O", "O", "O", "O", "O", "O", "O", "O"],
  "frac_coords": [[0.000, 0.000, 0.750], [0.000, 0.000, 0.500], [0.999, 0.000, 0.250], [0.001, 0.000, 0.000], [0.323, 0.677, 0.125], [0.323, 0.677, 0.625], [0.677, 0.323, 0.375], [0.677, 0.323, 0.875], [0.272, 0.512, 0.367], [0.272, 0.512, 0.867], [0.488, 0.728, 0.383], [0.488, 0.728, 0.883], [0.728, 0.488, 0.133], [0.728, 0.488, 0.633], [0.512, 0.272, 0.117], [0.512, 0.272, 0.617], [0.262, 0.717, 0.311], [0.263, 0.717, 0.811], [0.283, 0.737, 0.439], [0.283, 0.738, 0.939], [0.738, 0.283, 0.189], [0.738, 0.283, 0.689], [0.717, 0.263, 0.061], [0.717, 0.262, 0.561], [0.226, 0.774, 0.125], [0.226, 0.774, 0.625], [0.774, 0.226, 0.375], [0.774, 0.226, 0.875], [0.326, 0.674, 0.375], [0.327, 0.674, 0.875], [0.674, 0.327, 0.125], [0.674, 0.326, 0.625], [0.180, 0.262, 0.155], [0.179, 0.262, 0.655], [0.738, 0.820, 0.094], [0.738, 0.820, 0.595], [0.820, 0.738, 0.345], [0.820, 0.738, 0.845], [0.262, 0.180, 0.405], [0.262, 0.180, 0.905], [0.173, 0.820, 0.209], [0.173, 0.820, 0.709], [0.180, 0.827, 0.042], [0.180, 0.827, 0.541], [0.827, 0.180, 0.291], [0.827, 0.180, 0.791], [0.820, 0.173, 0.459], [0.820, 0.173, 0.959]],
  "e_tot_ev_per_atom": -5.04,
  "mass_density_g_cm3": 2.16,
  "formation_enthalpy_0k_ev_per_atom": -0.870
}

=====

Entry 2:
{
  "formula": "NiH44C12N8Cl2O10",
  "functional": "PBE with a Hubbard U",
  "state": "optimized geometry",
  "lattice": [[9.376, 0.000, -0.665], [-2.170, 7.928, -4.661], [0.018, 0.006, 9.505]],
  "species": ["Ni", "H", "H", "H", "H", "H", "H", "H", "H", "H", "H", "H", "H", "H", "H", "H", "H", "H", "H", "H", "H", "H", "H", "H", "H", "H", "H", "H", "H", "H", "H", "H", "H", "H", "H", "H", "H", "H", "H", "H", "H", "H", "H", "H", "H", "C", "C", "C", "C", "C", "C", "C", "C", "C", "C", "C", "C", "N", "N", "N", "N", "N", "N", "N", "N", "Cl", "Cl", "O", "O", "O", "O", "O", "O", "O", "O", "O", "O"],
  "frac_coords": [[0.000, 0.000, 0.000], [0.864, 0.896, 0.187], [0.136, 0.104, 0.813], [0.807, 0.054, 0.220], [0.193, 0.946, 0.780], [0.876, 0.737, 0.679], [0.124, 0.263, 0.321], [0.807, 0.687, 0.803], [0.193, 0.313, 0.197], [0.797, 0.088, 0.855], [0.203, 0.912, 0.145], [0.881, 0.249, 0.029], [0.119, 0.751, 0.971], [0.548, 0.988, 0.672], [0.452, 0.012, 0.328], [0.668, 0.095, 0.629], [0.332, 0.905, 0.371], [0.588, 0.500, 0.777], [0.412, 0.500, 0.223], [0.704, 0.410, 0.681], [0.296, 0.590, 0.319], [0.985, 0.448, 0.625], [0.015, 0.552, 0.375], [0.144, 0.593, 0.630], [0.856, 0.407, 0.370], [0.362, 0.507, 0.562], [0.638, 0.493, 0.438], [0.370, 0.295, 0.499], [0.630, 0.705, 0.501], [0.361, 0.640, 0.991], [0.639, 0.360, 0.009], [0.361, 0.703, 0.840], [0.639, 0.297, 0.160], [0.992, 0.169, 0.546], [0.008, 0.831, 0.454], [0.157, 0.102, 0.492], [0.843, 0.898, 0.508], [0.369, 0.358, 0.910], [0.631, 0.642, 0.090], [0.372, 0.210, 0.699], [0.628, 0.790, 0.301], [0.151, 0.448, 0.982], [0.849, 0.552, 0.018], [0.989, 0.367, 0.825], [0.011, 0.633, 0.175], [0.107, 0.489, 0.652], [0.893, 0.511, 0.348], [0.326, 0.401, 0.581], [0.674, 0.599, 0.419], [0.323, 0.599, 0.861], [0.677, 0.401, 0.139], [0.114, 0.208, 0.573], [0.886, 0.792, 0.427], [0.329, 0.317, 0.781], [0.671, 0.683, 0.219], [0.110, 0.407, 0.853], [0.890, 0.593, 0.147], [0.163, 0.345, 0.541], [0.837, 0.655, 0.459], [0.384, 0.458, 0.754], [0.616, 0.542, 0.246], [0.160, 0.549, 0.827], [0.840, 0.451, 0.173], [0.166, 0.261, 0.746], [0.834, 0.739, 0.254], [0.689, 0.176, 0.441], [0.311, 0.824, 0.559], [0.847, 0.965, 0.139], [0.153, 0.035, 0.861], [0.884, 0.773, 0.798], [0.116, 0.227, 0.202], [0.889, 0.138, 0.939], [0.111, 0.862, 0.061], [0.653, 0.054, 0.706], [0.347, 0.946, 0.294], [0.697, 0.511, 0.783], [0.303, 0.489, 0.217]],
  "e_tot_ev_per_atom": -5.44,
  "mass_density_g_cm3": 1.39,
  "crystal_system": "triclinic",
  "formation_enthalpy_0k_ev_per_atom": -0.550,
  "relative_energy_mev_per_atom": 0
}

=====

Entry 3:
{
  "formula": "V6SbH35C12Cl8O19",
  "functional": "PBE with a Hubbard U",
  "state": "optimized geometry",
  "lattice": [[-10.470, -0.764, 0.070], [1.187, -9.942, -9.225], [4.495, -9.919, 11.356]],
  "species": ["V", "V", "V", "V", "V", "V", "V", "V", "V", "V", "V", "V", "Sb", "Sb", "H", "H", "H", "H", "H", "H", "H", "H", "H", "H", "H", "H", "H", "H", "H", "H", "H", "H", "H", "H", "H", "H", "H", "H", "H", "H", "H", "H", "H", "H", "H", "H", "H", "H", "H", "H", "H", "H", "H", "H", "H", "H", "H", "H", "H", "H", "H", "H", "H", "H", "H", "H", "H", "H", "H", "H", "H", "H", "H", "H", "H", "H", "H", "H", "H", "H", "H", "H", "H", "H", "C", "C", "C", "C", "C", "C", "C", "C", "C", "C", "C", "C", "C", "C", "C", "C", "C", "C", "C", "C", "C", "C", "C", "C", "Cl", "Cl", "Cl", "Cl", "Cl", "Cl", "Cl", "Cl", "Cl", "Cl", "Cl", "Cl", "Cl", "Cl", "Cl", "Cl", "O", "O", "O", "O", "O", "O", "O", "O", "O", "O", "O", "O", "O", "O", "O", "O", "O", "O", "O", "O", "O", "O", "O", "O", "O", "O", "O", "O", "O", "O", "O", "O", "O", "O", "O", "O", "O", "O"],
  "frac_coords": [[0.899, 0.350, 0.622], [0.101, 0.650, 0.378], [0.687, 0.244, 0.705], [0.313, 0.756, 0.295], [0.913, 0.386, 0.831], [0.087, 0.614, 0.169], [0.138, 0.258, 0.774], [0.862, 0.742, 0.226], [0.915, 0.111, 0.654], [0.085, 0.889, 0.346], [0.919, 0.148, 0.860], [0.081, 0.852, 0.140], [0.577, 0.236, 0.187], [0.423, 0.764, 0.813], [0.965, 0.566, 0.642], [0.035, 0.434, 0.358], [0.940, 0.597, 0.748], [0.060, 0.403, 0.252], [0.087, 0.539, 0.739], [0.913, 0.461, 0.261], [0.191, 0.306, 0.572], [0.809, 0.694, 0.428], [0.162, 0.434, 0.584], [0.838, 0.566, 0.416], [0.290, 0.376, 0.662], [0.710, 0.624, 0.338], [0.920, 0.280, 0.446], [0.080, 0.720, 0.554], [0.977, 0.157, 0.466], [0.023, 0.843, 0.534], [0.805, 0.179, 0.443], [0.195, 0.821, 0.557], [0.521, 0.390, 0.774], [0.479, 0.610, 0.226], [0.642, 0.470, 0.844], [0.358, 0.530, 0.156], [0.616, 0.477, 0.727], [0.384, 0.523, 0.273], [0.606, 0.125, 0.512], [0.394, 0.875, 0.488], [0.656, 0.008, 0.558], [0.344, 0.992, 0.442], [0.530, 0.072, 0.593], [0.470, 0.928, 0.407], [0.643, 0.222, 0.907], [0.357, 0.778, 0.093], [0.539, 0.140, 0.829], [0.461, 0.860, 0.171], [0.664, 0.092, 0.915], [0.336, 0.908, 0.085], [0.295, 0.434, 0.892], [0.705, 0.566, 0.108], [0.172, 0.469, 0.947], [0.828, 0.531, 0.053], [0.245, 0.352, 0.968], [0.755, 0.648, 0.032], [0.061, 0.295, 0.036], [0.939, 0.705, 0.964], [0.908, 0.351, 0.030], [0.092, 0.649, 0.970], [0.919, 0.220, 0.043], [0.081, 0.780, 0.957], [0.222, 0.017, 0.710], [0.778, 0.983, 0.290], [0.182, 0.070, 0.603], [0.818, 0.930, 0.397], [0.306, 0.129, 0.689], [0.694, 0.871, 0.311], [0.183, 0.027, 0.863], [0.817, 0.973, 0.137], [0.300, 0.123, 0.911], [0.700, 0.877, 0.089], [0.187, 0.073, 0.971], [0.813, 0.927, 0.029], [0.749, 0.954, 0.762], [0.251, 0.046, 0.238], [0.886, 0.903, 0.729], [0.114, 0.097, 0.271], [0.892, 0.923, 0.843], [0.108, 0.077, 0.157], [0.471, 0.297, 0.399], [0.529, 0.703, 0.601], [0.479, 0.307, 0.515], [0.521, 0.693, 0.485], [0.981, 0.544, 0.711], [0.019, 0.456, 0.289], [0.192, 0.366, 0.619], [0.808, 0.634, 0.381], [0.903, 0.209, 0.475], [0.097, 0.791, 0.525], [0.618, 0.428, 0.783], [0.382, 0.572, 0.217], [0.622, 0.080, 0.572], [0.378, 0.920, 0.428], [0.638, 0.153, 0.870], [0.362, 0.847, 0.130], [0.212, 0.408, 0.918], [0.788, 0.592, 0.082], [0.954, 0.286, 0.013], [0.046, 0.714, 0.987], [0.212, 0.087, 0.674], [0.788, 0.913, 0.326], [0.200, 0.093, 0.906], [0.800, 0.907, 0.094], [0.857, 0.951, 0.777], [0.143, 0.049, 0.223], [0.417, 0.309, 0.449], [0.583, 0.691, 0.551], [0.527, 0.098, 0.086], [0.473, 0.902, 0.914], [0.347, 0.270, 0.164], [0.653, 0.730, 0.836], [0.595, 0.344, 0.068], [0.405, 0.656, 0.932], [0.808, 0.202, 0.214], [0.192, 0.798, 0.786], [0.556, 0.127, 0.305], [0.444, 0.873, 0.695], [0.632, 0.373, 0.290], [0.368, 0.627, 0.710], [0.293, 0.213, 0.438], [0.707, 0.787, 0.562], [0.350, 0.427, 0.435], [0.650, 0.573, 0.565], [0.899, 0.420, 0.540], [0.101, 0.580, 0.460], [0.528, 0.237, 0.679], [0.472, 0.763, 0.321], [0.908, 0.480, 0.893], [0.092, 0.520, 0.107], [0.297, 0.264, 0.797], [0.703, 0.736, 0.203], [0.918, 0.015, 0.594], [0.082, 0.985, 0.406], [0.917, 0.078, 0.943], [0.083, 0.922, 0.057], [0.727, 0.324, 0.620], [0.273, 0.676, 0.380], [0.915, 0.450, 0.714], [0.085, 0.550, 0.286], [0.100, 0.343, 0.672], [0.900, 0.657, 0.328], [0.914, 0.224, 0.567], [0.086, 0.776, 0.433], [0.715, 0.354, 0.787], [0.285, 0.646, 0.213], [0.719, 0.127, 0.641], [0.281, 0.873, 0.359], [0.728, 0.159, 0.813], [0.272, 0.841, 0.187], [0.111, 0.366, 0.847], [0.889, 0.634, 0.153], [0.918, 0.273, 0.919], [0.082, 0.727, 0.081], [0.113, 0.143, 0.699], [0.887, 0.857, 0.301], [0.110, 0.168, 0.870], [0.890, 0.832, 0.130], [0.916, 0.047, 0.773], [0.084, 0.953, 0.227], [0.921, 0.246, 0.746], [0.079, 0.754, 0.254]],
  "e_tot_ev_per_atom": -5.48,
  "mass_density_g_cm3": 1.82,
  "crystal_system": "triclinic",
  "formation_enthalpy_0k_ev_per_atom": -0.864
}